A relaxed Na4MgCu2O4 crystal, computed with GGA-PBE.

```
Na4MgCu2O4
1.0
6.832 -1.737 0.000
6.832 1.737 0.000
-0.344 0.000 7.405
Na Mg Cu O
4 1 2 4
Direct
0.000 0.000 0.000 Na
0.201 0.201 0.794 Na
0.560 0.560 0.454 Na
0.791 0.791 0.485 Na
0.179 0.179 0.204 Mg
0.384 0.384 0.223 Cu
0.411 0.411 0.732 Cu
0.174 0.174 0.469 O
0.640 0.640 0.076 O
0.888 0.888 0.750 O
0.908 0.908 0.255 O
```

Properties
- SG = No. 8
- E above lowest polymorph (meV/atom) = 0
- electronic total energy (eV/atom) = -4.31
- DFT formation energy (kcal/mol of atoms) = -32.10

---

A relaxed Na2MgCu2O4 crystal, computed with GGA-PBE.

```
Na2MgCu2O4
1.0
5.606 0.000 0.000
0.000 1.840 5.420
0.000 -1.840 5.420
Na Mg Cu O
2 1 2 4
Direct
0.000 0.000 0.000 Na
0.500 0.373 0.373 Na
0.000 0.339 0.339 Mg
0.000 0.657 0.657 Cu
0.500 0.649 0.649 Cu
0.230 0.788 0.788 O
0.232 0.528 0.528 O
0.768 0.528 0.528 O
0.770 0.788 0.788 O
```

Properties
- SG = No. 38
- E above lowest polymorph (meV/atom) = 208
- electronic total energy (eV/atom) = -4.61
- DFT formation energy (kcal/mol of atoms) = -30.77

---

A relaxed Na2MgCu2O4 crystal, computed with GGA-PBE.

```
Na2MgCu2O4
1.0
2.889 0.000 0.000
-1.443 5.239 0.000
-0.005 -0.904 8.361
Na Mg Cu O
2 1 2 4
Direct
0.000 0.000 0.000 Na
0.215 0.431 0.459 Na
0.472 0.944 0.669 Mg
0.466 0.938 0.357 Cu
0.738 0.476 0.805 Cu
0.046 0.100 0.260 O
0.107 0.215 0.745 O
0.362 0.724 0.849 O
0.893 0.788 0.500 O
```

Properties
- SG = No. 1
- E above lowest polymorph (meV/atom) = 10
- electronic total energy (eV/atom) = -4.81
- DFT formation energy (kcal/mol of atoms) = -35.35

---

A relaxed NaMgCuO2 crystal, computed with GGA-PBE.

```
NaMgCuO2
1.0
3.310 0.000 0.000
-1.469 2.991 0.000
-0.484 -1.762 6.566
Na Mg Cu O
1 1 1 2
Direct
0.000 0.000 0.000 Na
0.525 0.138 0.643 Mg
0.781 0.557 0.322 Cu
0.234 0.544 0.757 O
0.382 0.966 0.330 O
```

Properties
- SG = No. 1
- electronic total energy (eV/atom) = -4.79
- DFT formation energy (kcal/mol of atoms) = -38.84

---

A relaxed Mg6NbCu crystal, computed with GGA-PBE.

```
Mg6NbCu
1.0
-0.130 -2.078 4.343
5.800 1.215 0.755
-2.605 9.623 4.527
Mg Nb Cu
12 2 2
Direct
0.500 0.250 0.425 Mg
0.000 0.000 0.827 Mg
0.000 0.000 0.315 Mg
0.000 0.246 0.583 Mg
0.000 0.500 0.815 Mg
0.000 0.254 0.083 Mg
0.000 0.754 0.583 Mg
0.000 0.746 0.083 Mg
0.500 0.250 0.925 Mg
0.500 0.750 0.925 Mg
0.000 0.500 0.327 Mg
0.500 0.750 0.425 Mg
0.500 0.000 0.677 Nb
0.500 0.500 0.177 Nb
0.500 0.500 0.664 Cu
0.500 0.000 0.164 Cu
```

Properties
- E above lowest polymorph (meV/atom) = 17
- electronic total energy (eV/atom) = -2.79
- DFT formation energy (kcal/mol of atoms) = 4.33

---

A relaxed Mg6NbCu crystal, computed with GGA-PBE.

```
Mg6NbCu
1.0
4.837 0.000 0.000
0.000 6.053 0.000
0.000 0.000 10.809
Mg Cu Nb
12 2 2
Direct
0.500 0.243 0.919 Mg
0.500 0.257 0.419 Mg
0.000 0.259 0.086 Mg
0.000 0.500 0.831 Mg
0.000 0.241 0.586 Mg
0.500 0.500 0.667 Mg
0.000 0.000 0.331 Mg
0.500 0.000 0.167 Mg
0.500 0.743 0.419 Mg
0.000 0.741 0.086 Mg
0.500 0.757 0.919 Mg
0.000 0.759 0.586 Mg
0.000 0.500 0.316 Cu
0.000 0.000 0.816 Cu
0.500 0.500 0.178 Nb
0.500 0.000 0.678 Nb
```

Properties
- E above lowest polymorph (meV/atom) = 0
- electronic total energy (eV/atom) = -2.80
- DFT formation energy (kcal/mol of atoms) = 3.93